(1)
{"formula": "MgV4Ag2O11", "functional": "GGA+U", "state": "relaxed", "e_form_ev_per_fu": -37.30, "magmom_total_mub_per_atom": 0.11, "volume_a3_per_atom": 12.379, "lattice": [[3.682, 0.000, 0.000], [1.548, 7.608, 0.000], [1.764, 1.404, 7.955]], "species": ["Mg", "V", "V", "V", "V", "Ag", "Ag", "O", "O", "O", "O", "O", "O", "O", "O", "O", "O", "O"], "frac_coords": [[0.000, 0.000, 0.000], [0.029, 0.454, 0.473], [0.316, 0.742, 0.662], [0.521, 0.747, 0.262], [0.813, 0.477, 0.906], [0.581, 0.126, 0.698], [0.771, 0.104, 0.345], [0.023, 0.687, 0.285], [0.150, 0.304, 0.343], [0.166, 0.919, 0.778], [0.329, 0.517, 0.837], [0.389, 0.887, 0.437], [0.477, 0.942, 0.094], [0.498, 0.529, 0.470], [0.685, 0.596, 0.063], [0.846, 0.665, 0.667], [0.863, 0.259, 0.007], [0.995, 0.314, 0.669]]}

---

(2)
{"formula": "AlNiO3", "functional": "GGA+U", "state": "relaxed", "e_form_ev_per_fu": -9.18, "magmom_total_mub_per_atom": 0.08, "volume_a3_per_atom": 9.347, "lattice": [[3.111, 0.000, 0.000], [-1.555, 2.694, 0.000], [0.000, 0.000, 11.154]], "species": ["Al", "Al", "Ni", "Ni", "O", "O", "O", "O", "O", "O"], "frac_coords": [[0.000, 0.000, 0.000], [0.000, 0.000, 0.500], [0.333, 0.667, 0.250], [0.667, 0.333, 0.750], [0.000, 0.000, 0.250], [0.000, 0.000, 0.750], [0.333, 0.667, 0.080], [0.333, 0.667, 0.420], [0.667, 0.333, 0.580], [0.667, 0.333, 0.920]]}